[1]
Computed, not measured: a relaxed SiO2 crystal at the r2SCAN level of DFT.

Geometry as POSCAR:
```
SiO2
1.0
-2.599 5.772 6.385
5.641 -0.736 9.292
5.189 9.578 -0.216
Si O
16 32
Direct
0.415 0.659 0.861
0.276 0.139 0.659
0.085 0.139 0.341
0.426 0.659 0.139
0.224 0.341 0.861
0.565 0.861 0.659
0.915 0.861 0.659
0.574 0.341 0.861
0.585 0.341 0.139
0.926 0.139 0.659
0.435 0.139 0.341
0.935 0.341 0.139
0.065 0.659 0.861
0.724 0.861 0.341
0.074 0.861 0.341
0.776 0.659 0.139
0.872 0.500 0.160
0.396 0.000 0.708
0.513 0.737 0.737
0.721 0.865 0.692
0.968 0.160 0.500
0.128 0.500 0.840
0.396 0.708 0.000
0.987 0.263 0.263
0.413 0.308 0.865
0.604 0.292 0.000
0.279 0.135 0.308
0.013 0.737 0.737
0.372 0.160 0.500
0.104 0.000 0.292
0.896 0.708 0.000
0.750 0.263 0.737
0.532 0.500 0.840
0.487 0.263 0.263
0.221 0.692 0.865
0.913 0.865 0.308
0.628 0.840 0.500
0.087 0.135 0.692
0.032 0.840 0.500
0.779 0.308 0.135
0.587 0.692 0.135
0.250 0.737 0.263
0.750 0.737 0.263
0.896 0.000 0.708
0.250 0.263 0.737
0.604 0.000 0.292
0.468 0.500 0.160
0.104 0.292 0.000
```

For the uncorrected energy, the calculation gives -9.927 eV per atom. For the formation energy, the calculation gives -3020 meV/atom.


[2]
Computed, not measured: a relaxed Li7BiO6 crystal at the r2SCAN level of DFT.

Geometry as POSCAR:
```
Li7BiO6
1.0
1.464 5.661 -1.203
-2.228 3.125 -4.573
-3.734 4.617 0.616
Li Bi O
7 1 6
Direct
0.270 0.502 0.877
0.067 0.772 0.509
0.509 0.067 0.772
0.349 0.349 0.349
0.877 0.270 0.502
0.502 0.877 0.270
0.772 0.509 0.067
0.998 0.998 0.998
0.123 0.368 0.758
0.204 0.923 0.610
0.610 0.204 0.923
0.368 0.758 0.123
0.758 0.123 0.368
0.923 0.610 0.204
```

For the uncorrected energy, the calculation gives -9.783 eV per atom. For the energy above the most stable polymorph in this dataset, the calculation gives 0.21 eV per formula unit. For the formation energy, the calculation gives -1851 meV/atom.


[3]
Computed, not measured: a relaxed ZrCu5 crystal at the r2SCAN level of DFT.

Geometry as POSCAR:
```
ZrCu5
1.0
4.178 0.000 2.412
1.393 3.939 2.412
0.000 0.000 4.825
Zr Cu
1 5
Direct
0.000 0.000 0.000
0.250 0.250 0.250
0.624 0.624 0.624
0.624 0.624 0.128
0.128 0.624 0.624
0.624 0.128 0.624
```

For the uncorrected energy, the calculation gives -12.969 eV per atom. For the formation energy, the calculation gives -138 meV/atom.


[4]
Computed, not measured: a relaxed SmH2 crystal at the r2SCAN level of DFT.

Geometry as POSCAR:
```
SmH2
1.0
-2.444 -0.818 -2.796
-3.486 -1.268 0.833
-3.024 2.226 -0.593
Sm H
1 2
Direct
0.000 0.000 0.000
0.750 0.750 0.750
0.250 0.250 0.250
```

For the uncorrected energy, the calculation gives -12.977 eV per atom. For the formation energy, the calculation gives -762 meV/atom.


[5]
Computed, not measured: a relaxed CaNiF5 crystal at the r2SCAN level of DFT.

Geometry as POSCAR:
```
CaNiF5
1.0
3.189 4.458 -0.053
-3.189 4.458 -0.053
0.000 3.258 6.853
Ca Ni F
2 2 10
Direct
0.550 0.450 0.250
0.450 0.550 0.750
0.000 0.000 0.500
0.000 0.000 0.000
0.082 0.918 0.750
0.918 0.082 0.250
0.212 0.241 0.886
0.759 0.788 0.614
0.715 0.303 0.532
0.697 0.285 0.968
0.285 0.697 0.468
0.303 0.715 0.032
0.241 0.212 0.386
0.788 0.759 0.114
```

For the uncorrected energy, the calculation gives -7.821 eV per atom. For the formation energy, the calculation gives -2871 meV/atom.


[6]
Computed, not measured: a relaxed Na3Ni5O10 crystal at the r2SCAN level of DFT.

Geometry as POSCAR:
```
Na3Ni5O10
1.0
4.014 3.181 3.710
-5.984 -2.067 6.202
2.952 -6.807 -2.102
Na Ni O
6 10 20
Direct
0.201 0.700 0.900
0.701 0.200 0.400
0.800 0.291 0.102
0.300 0.791 0.602
0.100 0.609 0.198
0.600 0.109 0.698
0.700 0.700 0.900
0.501 0.499 0.498
0.899 0.901 0.302
0.299 0.302 0.099
0.101 0.098 0.701
0.200 0.200 0.400
0.001 0.999 0.998
0.399 0.401 0.802
0.799 0.802 0.599
0.601 0.598 0.201
0.001 0.181 0.908
0.501 0.681 0.408
0.399 0.219 0.892
0.899 0.719 0.392
0.601 0.412 0.276
0.101 0.912 0.776
0.299 0.488 0.024
0.799 0.988 0.524
0.201 0.389 0.293
0.701 0.889 0.793
0.699 0.511 0.007
0.199 0.011 0.507
0.797 0.624 0.691
0.297 0.124 0.191
0.603 0.776 0.109
0.103 0.276 0.609
0.399 0.584 0.723
0.899 0.084 0.223
0.001 0.816 0.077
0.501 0.316 0.577
```

For the uncorrected energy, the calculation gives -8.545 eV per atom. For the formation energy, the calculation gives -1305 meV/atom.


no.,spin magnetization (Bohr magnetons per cell)
1,0.000
2,0.000
3,0.000
4,0.000
5,6.000
6,0.001